First-principles (GGA+U) data for a relaxed structure of Li2FeBO4, as listed in the Materials Project database.

The structure in CIF format:
```
data_Li2FeBO4
_symmetry_space_group_name_H-M 'P c a 21'
_symmetry_Int_Tables_number 29
_symmetry_space_group_name_Hall 'P 2c -2ac'
_cell_length_a 9.655
_cell_length_b 4.910
_cell_length_c 13.151
_cell_angle_alpha 90.00
_cell_angle_beta 90.00
_cell_angle_gamma 90.00
loop_
_atom_site_label
_atom_site_type_symbol
_atom_site_fract_x
_atom_site_fract_y
_atom_site_fract_z
Li1 Li 0.003 0.014 0.000
Li2 Li 0.021 0.469 0.111
Li3 Li 0.211 0.907 0.353
Li4 Li 0.216 0.434 0.247
Fe1 Fe 0.028 0.018 0.741
Fe2 Fe 0.219 0.489 0.491
B1 B 0.028 0.519 0.862
B2 B 0.220 0.981 0.122
O1 O 0.010 0.779 0.362
O2 O 0.018 0.356 0.264
O3 O 0.043 0.354 0.451
O4 O 0.091 0.827 0.140
O5 O 0.175 0.817 0.564
O6 O 0.177 0.233 0.066
O7 O 0.182 0.568 0.869
O8 O 0.221 0.065 0.723
```

magnetization: 0.00 Bohr magnetons per cell
total DFT energy (no corrections): -414.40 eV per cell
V: 9.74 Å³/atom